{
  "formula": "K2RbTbCl6",
  "functional": "PBE",
  "state": "optimized geometry",
  "cell": [[0.000, 5.749, 5.749], [5.749, 0.000, 5.749], [5.749, 5.749, 0.000]],
  "species": ["K", "K", "Rb", "Tb", "Cl", "Cl", "Cl", "Cl", "Cl", "Cl"],
  "frac_coords": [[0.250, 0.250, 0.250], [0.750, 0.750, 0.750], [0.000, 0.000, 0.000], [0.500, 0.500, 0.500], [0.270, 0.270, 0.730], [0.270, 0.730, 0.270], [0.270, 0.730, 0.730], [0.730, 0.270, 0.270], [0.730, 0.270, 0.730], [0.730, 0.730, 0.270]]
}

{
  "formula": "KRb2TmCl6",
  "functional": "PBE",
  "state": "optimized geometry",
  "cell": [[0.000, 5.596, 5.596], [5.596, 0.000, 5.596], [5.596, 5.596, 0.000]],
  "species": ["K", "Rb", "Rb", "Tm", "Cl", "Cl", "Cl", "Cl", "Cl", "Cl"],
  "frac_coords": [[0.000, 0.000, 0.000], [0.250, 0.250, 0.250], [0.750, 0.750, 0.750], [0.500, 0.500, 0.500], [0.268, 0.268, 0.732], [0.268, 0.732, 0.268], [0.268, 0.732, 0.732], [0.732, 0.268, 0.268], [0.732, 0.268, 0.732], [0.732, 0.732, 0.268]]
}

{
  "formula": "K2RbYCl6",
  "functional": "PBE",
  "state": "optimized geometry",
  "cell": [[0.000, 5.738, 5.738], [5.738, 0.000, 5.738], [5.738, 5.738, 0.000]],
  "species": ["K", "K", "Rb", "Y", "Cl", "Cl", "Cl", "Cl", "Cl", "Cl"],
  "frac_coords": [[0.250, 0.250, 0.250], [0.750, 0.750, 0.750], [0.000, 0.000, 0.000], [0.500, 0.500, 0.500], [0.270, 0.270, 0.730], [0.270, 0.730, 0.270], [0.270, 0.730, 0.730], [0.730, 0.270, 0.270], [0.730, 0.270, 0.730], [0.730, 0.730, 0.270]]
}

{
  "formula": "K3SbCl6",
  "functional": "PBE",
  "state": "optimized geometry",
  "cell": [[0.000, 5.631, 5.631], [5.631, 0.000, 5.631], [5.631, 5.631, 0.000]],
  "species": ["K", "K", "K", "Sb", "Cl", "Cl", "Cl", "Cl", "Cl", "Cl"],
  "frac_coords": [[0.000, 0.000, 0.000], [0.250, 0.250, 0.250], [0.750, 0.750, 0.750], [0.500, 0.500, 0.500], [0.264, 0.264, 0.736], [0.264, 0.736, 0.264], [0.264, 0.736, 0.736], [0.736, 0.264, 0.264], [0.736, 0.264, 0.736], [0.736, 0.736, 0.264]]
}

no.,total energy (eV per atom)
1,-3.924
2,-3.971
3,-4.108
4,-3.327